1.
The following is a DFT calculation (PBE) of crystalline Si3Pt2 at its relaxed geometry.

Structure (extended XYZ):
```
10
Lattice="3.942 0.000 0.000 -1.971 3.413 0.000 0.000 0.000 12.115" Properties=species:S:1:pos:R:3 pbc="T T T"
Si 0.000 0.000 3.029
Si 0.000 0.000 9.086
Si 0.000 2.276 0.790
Si 0.000 2.276 5.267
Si 1.971 1.138 6.848
Si 1.971 1.138 11.325
Pt 0.000 2.276 7.719
Pt 0.000 2.276 10.453
Pt 1.971 1.138 1.662
Pt 1.971 1.138 4.396
```

- formation energy from the elements (kcal/mol of atoms) = -11.9
- total DFT energy (no corrections) (eV/atom) = -6.2011

2.
The following is a DFT calculation (PBE) of crystalline Si3PH9 at its relaxed geometry.

Structure (extended XYZ):
```
52
Lattice="6.360 0.000 0.000 0.000 13.157 0.000 -0.907 0.000 10.114" Properties=species:S:1:pos:R:3 pbc="T T T"
Si 0.333 1.484 3.361
Si -0.120 5.095 8.417
Si 1.472 9.402 3.802
Si 1.019 10.334 8.859
Si 1.138 0.495 8.089
Si 1.591 6.084 3.032
Si 3.862 7.074 7.082
Si 4.316 12.662 2.025
Si 4.435 2.823 1.255
Si 3.981 3.756 6.312
Si 5.574 8.062 1.696
Si 5.121 11.674 6.753
P 1.460 8.073 1.968
P 1.007 11.663 7.025
P 4.446 1.494 3.089
P 3.993 5.084 8.146
H 0.136 0.646 9.189
H 0.590 5.933 4.132
H 0.590 8.888 4.894
H 0.137 10.848 9.950
H 0.705 0.323 4.225
H 0.251 6.255 9.282
H 0.724 2.752 4.044
H 0.271 3.827 9.100
H 1.067 1.380 2.062
H 0.614 5.199 7.119
H 0.545 8.982 8.437
H 0.998 10.754 3.380
H 0.919 1.574 7.080
H 1.373 5.004 2.023
H 2.489 7.219 6.512
H 2.943 12.517 1.455
H 3.032 2.926 0.756
H 2.579 3.653 5.812
H 2.875 9.505 4.301
H 2.421 10.231 9.358
H 2.511 0.640 8.658
H 2.964 5.938 3.601
H 4.081 8.153 8.090
H 4.534 11.583 3.034
H 4.455 2.404 6.733
H 4.909 4.175 1.676
H 4.840 7.958 2.994
H 4.387 11.778 8.051
H 5.183 9.331 1.013
H 4.729 10.405 6.070
H 5.202 6.902 0.832
H 4.749 12.834 5.889
H 5.317 2.309 0.163
H 4.863 4.269 5.220
H 4.864 7.224 5.982
H 5.317 12.512 0.925
```

- formation energy from the elements (kcal/mol of atoms) = -3.1
- total DFT energy (no corrections) (eV/atom) = -4.0287

3.
The following is a DFT calculation (PBE) of crystalline Fe3NiN at its relaxed geometry.

Structure (extended XYZ):
```
5
Lattice="3.774 0.000 0.000 0.000 3.774 0.000 0.000 0.000 3.774" Properties=species:S:1:pos:R:3 pbc="T T T"
Fe 0.000 0.000 1.887
Fe 0.000 1.887 0.000
Fe 1.887 0.000 0.000
Ni 1.887 1.887 1.887
N 0.000 0.000 0.000
```

- formation energy from the elements (kcal/mol of atoms) = -2.9
- total DFT energy (no corrections) (eV/atom) = -7.9599

4.
The following is a DFT calculation (PBE) of crystalline CoNi5N4 at its relaxed geometry.

Structure (extended XYZ):
```
20
Lattice="5.759 0.000 0.000 0.000 8.955 0.000 0.000 0.000 3.970" Properties=species:S:1:pos:R:3 pbc="T T T"
Co 1.440 2.239 0.842
Co 4.319 6.716 3.128
Ni 0.196 5.329 0.786
Ni 0.196 8.103 0.786
Ni 1.440 6.716 2.725
Ni 2.683 5.329 0.786
Ni 2.683 8.103 0.786
Ni 3.076 0.852 3.184
Ni 3.076 3.626 3.184
Ni 4.319 2.239 1.245
Ni 5.562 0.852 3.184
Ni 5.562 3.626 3.184
N 0.146 2.239 2.074
N 1.440 0.475 0.174
N 1.440 4.002 0.174
N 2.733 2.239 2.074
N 3.025 6.716 1.896
N 4.319 4.953 3.795
N 4.319 8.479 3.795
N 5.613 6.716 1.896
```

- formation energy from the elements (kcal/mol of atoms) = 2.5
- total DFT energy (no corrections) (eV/atom) = -6.6809